1 | This record from Materials Project describes a geometry-optimized Pb structure. The functional is r2SCAN.

abc: 3.4289 3.4289 3.4289
angles: 109.47 109.47 109.47
Closest atoms and distances in Å follow each position.
Sites, in units of the cell vectors:
1 Pb 0.0000 0.0000 0.0000  8 Pb 3.43

Calculated values
Its calculated volume is 31.0 A^3/atom.

***

2 | This record from Materials Project describes a geometry-optimized Pb structure. The functional is r2SCAN.

abc: 3.4716 3.4716 5.9974
angles: 90.00 90.00 120.00
Closest atoms and distances in Å follow each position.
Sites, in units of the cell vectors:
1 Pb 0.3333 0.6667 0.2500  12 Pb 3.47-3.61
2 Pb 0.6667 0.3333 0.7500  12 Pb 3.47-3.61

Calculated values
Its calculated volume is 31.3 A^3/atom.

***

3 | This record from Materials Project describes a geometry-optimized Pb structure. The functional is r2SCAN.

abc: 3.5281 3.5281 3.5281
angles: 60.00 60.00 60.00
Closest atoms and distances in Å follow each position.
Sites, in units of the cell vectors:
1 Pb 0.0000 0.0000 0.0000  12 Pb 3.53

Calculated values
Its calculated volume is 31.1 A^3/atom.

***

Short version: 1 is the least stable of them.

***

1 | This record from Materials Project describes a geometry-optimized Li7BiO6 structure. The functional is r2SCAN.

abc: 5.9697 5.9697 5.9697
angles: 56.00 56.00 56.00
Closest atoms and distances in Å follow each position.
Sites, in units of the cell vectors:
1 Li 0.0000 0.0000 0.0000  3 O 2.06
2 Li 0.0794 0.4720 0.8471  4 O 1.84-2.03
3 Li 0.2818 0.8396 0.5775  4 O 1.94-1.99
4 Li 0.4720 0.8471 0.0794  4 O 1.84-2.03
5 Li 0.5775 0.2818 0.8396  4 O 1.94-1.99
6 Li 0.8396 0.5775 0.2818  4 O 1.94-1.99
7 Li 0.8471 0.0794 0.4720  4 O 1.84-2.03
8 Bi 0.3510 0.3510 0.3510  6 O 2.11-2.15
9 O 0.1454 0.7392 0.4260  4 Li 1.84-2.03
10 O 0.2257 0.5912 0.9806  5 Li 1.94-2.06, 1 Bi 2.15
11 O 0.4260 0.1454 0.7392  4 Li 1.84-2.03
12 O 0.5912 0.9806 0.2257  5 Li 1.94-2.06, 1 Bi 2.15
13 O 0.7392 0.4260 0.1454  4 Li 1.84-2.03
14 O 0.9806 0.2257 0.5912  5 Li 1.94-2.06, 1 Bi 2.15

Calculated values
Its calculated volume is 9.7 A^3/atom.

***

2 | This record from Materials Project describes a geometry-optimized Li7BiO6 structure. The functional is r2SCAN.

abc: 5.4346 5.4840 5.9512
angles: 63.53 64.43 60.86
Closest atoms and distances in Å follow each position.
Sites, in units of the cell vectors:
1 Li 0.0000 0.0000 0.0000  3 O 1.90-1.94
2 Li 0.0279 0.7470 0.7604  4 O 1.82-1.97
3 Li 0.1467 0.4831 0.4481  3 O 2.01-2.07
4 Li 0.3270 0.3444 0.0079  4 O 1.90-2.02
5 Li 0.4358 0.0837 0.7428  4 O 1.85-2.01
6 Li 0.6357 0.5918 0.0031  3 O 1.84-2.06
7 Li 0.8832 0.1834 0.3725  5 O 2.13-2.32
8 Bi 0.5341 0.8296 0.3920  6 O 2.10-2.14
9 O 0.1461 0.0740 0.6242  4 Li 1.91-2.01, 1 Bi 2.13
10 O 0.3051 0.9484 0.1204  4 Li 1.93-2.06, 1 Bi 2.14
11 O 0.4042 0.4692 0.6300  4 Li 1.85-2.07
12 O 0.6197 0.2225 0.1696  3 Li 1.84-1.90
13 O 0.7690 0.7671 0.6291  3 Li 1.82-1.94
14 O 0.9244 0.6028 0.1444  5 Li 1.97-2.15, 1 Bi 2.14

Calculated values
Its calculated volume is 9.5 A^3/atom.

***

Short version: 1 is the least stable of them.